DFT (PBE with a Hubbard U) results for a relaxed Li3VFeP2O8F2 crystal.

CIF file:
```
data_Li3VFeP2O8F2
_symmetry_space_group_name_H-M 'P 1'
_symmetry_Int_Tables_number 1
_cell_length_a 5.417
_cell_length_b 7.624
_cell_length_c 10.282
_cell_angle_alpha 104.47
_cell_angle_beta 98.35
_cell_angle_gamma 110.16
loop_
_symmetry_equiv_pos_as_xyz
'x,y,z'
loop_
_atom_site_label
_atom_site_type_symbol
_atom_site_fract_x
_atom_site_fract_y
_atom_site_fract_z
_atom_site_occupancy
Li1 Li 0.000 0.000 0.000 1
Li2 Li 0.080 0.695 0.041 1
Li3 Li 0.354 0.793 0.443 1
Li4 Li 0.495 0.500 0.500 1
Li5 Li 0.579 0.195 0.540 1
Li6 Li 0.856 0.294 0.943 1
V1 V 0.469 0.501 0.991 1
V2 V 0.969 0.001 0.491 1
Fe1 Fe 0.219 0.255 0.245 1
Fe2 Fe 0.719 0.755 0.745 1
P1 P 0.060 0.453 0.702 1
P2 P 0.378 0.049 0.780 1
P3 P 0.561 0.953 0.203 1
P4 P 0.876 0.550 0.280 1
O1 O 0.119 0.498 0.327 1
O2 O 0.127 0.944 0.826 1
O3 O 0.128 0.494 0.865 1
O4 O 0.306 0.006 0.618 1
O5 O 0.313 0.560 0.659 1
O6 O 0.318 0.005 0.155 1
O7 O 0.446 0.723 0.132 1
O8 O 0.493 0.279 0.850 1
O9 O 0.622 0.998 0.826 1
O10 O 0.624 0.444 0.325 1
O11 O 0.628 0.994 0.365 1
O12 O 0.807 0.506 0.118 1
O13 O 0.816 0.060 0.160 1
O14 O 0.816 0.506 0.657 1
O15 O 0.945 0.223 0.632 1
O16 O 0.991 0.780 0.350 1
F1 F 0.183 0.297 0.046 1
F2 F 0.261 0.206 0.440 1
F3 F 0.682 0.797 0.546 1
F4 F 0.762 0.706 0.940 1
```

**Energy of formation from the pure elements**: -2.852 eV/atom
**Total magnetic moment**: 8.82 Bohr magnetons per cell